[1]
Below is a relaxed MgFe11O18 crystal, with properties calculated at the PBE+U level.

The structure in extended XYZ format:
```
30
Lattice="5.4970 0.0000 0.0000 -0.6981 7.5016 0.0000 -2.3809 -3.7432 7.7008" Properties=species:S:1:pos:R:3 pbc="T T T"
O 1.4817 4.4632 0.7699
Fe 1.3684 2.6807 5.1393
Fe 1.0632 1.1180 2.5624
O 2.9355 6.7078 0.7968
O -0.8947 0.7467 3.3430
O 3.3152 3.0052 4.3395
Fe 1.4058 2.6139 0.0082
O 1.8551 0.7377 4.3679
O -0.1799 1.9018 6.1401
O -0.1111 1.9059 1.0368
O 2.5844 1.8957 6.6944
O 1.5169 4.5007 5.8556
O 0.1809 -1.8580 4.1172
Fe 1.7232 -1.1109 5.1488
Fe -1.7190 1.1054 5.1394
Mg 3.8266 1.0723 0.0024
O -0.5699 -3.0079 6.9186
O 0.8849 -0.7052 6.9104
O -1.8417 -0.7289 5.9259
O 4.2537 4.4831 1.7971
Fe -2.0597 4.8407 5.1376
Fe 4.1388 2.6384 2.5498
Fe -1.3568 2.6764 7.6988
Fe 0.6881 4.8542 2.5649
O 0.8985 -0.7342 1.7831
Fe 3.4206 4.8531 0.0120
O 2.2307 5.6451 3.5651
Fe 4.4647 -1.0890 2.5492
O 2.5908 1.8785 1.5719
O 0.5555 3.0286 3.3644
```

Computed properties:
Raw total energy, eV per atom: -6.5762
SG: P1

[2]
Below is a relaxed MgFe2O4 crystal, with properties calculated at the PBE+U level.

The structure in extended XYZ format:
```
28
Lattice="2.8775 0.0000 0.0000 0.0000 8.7575 0.0000 0.0000 0.0000 10.1689" Properties=species:S:1:pos:R:3 pbc="T T T"
Mg 0.7194 2.1262 8.5533
Fe 0.7194 0.7701 1.0067
O 2.1581 0.3382 2.1835
Fe 2.1581 8.2507 3.8900
O 0.7194 3.3185 4.7353
O 2.1581 1.0602 9.8198
O 0.7194 2.6162 1.7725
Mg 0.7194 6.5049 6.7001
O 2.1581 4.7169 2.9009
Fe 2.1581 3.8719 1.1944
Fe 0.7194 4.8856 8.9745
O 2.1581 7.9752 5.8189
O 0.7194 4.0406 7.2680
O 2.1581 5.4390 5.4336
O 0.7194 7.6973 0.3491
O 0.7194 6.9950 3.3120
Fe 2.1581 7.9874 9.1622
O 0.7194 8.4194 7.9854
Fe 0.7194 5.1489 4.0778
O 2.1581 1.7625 6.8570
O 0.7194 0.7823 4.3500
O 0.7194 5.1610 0.7345
Fe 0.7194 0.5069 6.2789
O 2.1581 6.1413 8.3964
Mg 2.1581 2.2526 3.4689
Fe 2.1581 3.6087 6.0912
O 2.1581 3.5965 9.4344
Mg 2.1581 6.6314 1.6156
```

Computed properties:
Raw total energy, eV per atom: -6.3215
E above lowest polymorph, kJ/mol of formula units: 147.6
SG: Pnma

no.,energy of formation from the pure elements (meV/atom),MP2020-corrected energy (eV per formula unit)
1,-1688,-234.5
2,-1883,-51.5